No. 1
The following is a DFT calculation (meta-GGA r2SCAN) of an optimized crystal structure of Cr2S3O12.

Output
**Spin magnetization**: 0.00 μB per atom
**SG**: R-3
**V**: 12.33 Å³ per atom
**Raw total energy**: -9.15 eV/atom
**Energy of formation**: -1.742 eV/atom

abc: 8.7036 8.7036 8.7036
angles: 55.66 55.66 55.66
Sites, in units of the cell vectors:
Cr  0.1438  0.1438  0.1438
Cr  0.3488  0.3488  0.3488
Cr  0.6512  0.6512  0.6512
Cr  0.8562  0.8562  0.8562
S  0.0377  0.7515  0.4588
S  0.2485  0.5412  0.9623
S  0.4588  0.0377  0.7515
S  0.5412  0.9623  0.2485
S  0.7515  0.4588  0.0377
S  0.9623  0.2485  0.5412
O  0.0128  0.7993  0.6099
O  0.1178  0.7406  0.8750
O  0.1250  0.8822  0.2594
O  0.1572  0.2134  0.5249
O  0.1715  0.5431  0.4867
O  0.2007  0.3901  0.9872
O  0.2134  0.5249  0.1572
O  0.2594  0.1250  0.8822
O  0.3901  0.9872  0.2007
O  0.4569  0.5133  0.8285
O  0.4751  0.8428  0.7866
O  0.4867  0.1715  0.5431
O  0.5133  0.8285  0.4569
O  0.5249  0.1572  0.2134
O  0.5431  0.4867  0.1715
O  0.6099  0.0128  0.7993
O  0.7406  0.8750  0.1178
O  0.7866  0.4751  0.8428
O  0.7993  0.6099  0.0128
O  0.8285  0.4569  0.5133
O  0.8428  0.7866  0.4751
O  0.8750  0.1178  0.7406
O  0.8822  0.2594  0.1250
O  0.9872  0.2007  0.3901



No. 2
The following is a DFT calculation (meta-GGA r2SCAN) of an optimized crystal structure of CrS2O8.

Output
**Spin magnetization**: 0.18 μB per atom
**SG**: Pbca
**V**: 11.44 Å³ per atom
**Raw total energy**: -8.68 eV/atom
**Energy of formation**: -1.506 eV/atom

abc: 8.7899 12.7163 9.0095
angles: 90.00 90.00 90.00
Sites, in units of the cell vectors:
Cr  0.1075  0.1255  0.1418
Cr  0.1075  0.3745  0.6418
Cr  0.3925  0.6255  0.1418
Cr  0.3925  0.8745  0.6418
Cr  0.6075  0.1255  0.3582
Cr  0.6075  0.3745  0.8582
Cr  0.8925  0.6255  0.3582
Cr  0.8925  0.8745  0.8582
S  0.0644  0.7181  0.0771
S  0.0644  0.7819  0.5771
S  0.1877  0.0154  0.8451
S  0.1877  0.4846  0.3451
S  0.3123  0.5154  0.8451
S  0.3123  0.9846  0.3451
S  0.4356  0.2181  0.0771
S  0.4356  0.2819  0.5771
S  0.5644  0.7181  0.4229
S  0.5644  0.7819  0.9229
S  0.6877  0.0154  0.6549
S  0.6877  0.4846  0.1549
S  0.8123  0.5154  0.6549
S  0.8123  0.9846  0.1549
S  0.9356  0.2181  0.4229
S  0.9356  0.2819  0.9229
O  0.0055  0.7171  0.2348
O  0.0055  0.7829  0.7348
O  0.0139  0.6316  0.9916
O  0.0139  0.8684  0.4916
O  0.0228  0.6766  0.5203
O  0.0228  0.8234  0.0203
O  0.0255  0.5133  0.3110
O  0.0255  0.9867  0.8110
O  0.2009  0.0262  0.0108
O  0.2009  0.4738  0.5108
O  0.2240  0.0815  0.3107
O  0.2240  0.4185  0.8107
O  0.2310  0.1069  0.7675
O  0.2310  0.3931  0.2675
O  0.2360  0.7214  0.0889
O  0.2360  0.7786  0.5889
O  0.2640  0.2214  0.0889
O  0.2640  0.2786  0.5889
O  0.2690  0.6069  0.7675
O  0.2690  0.8931  0.2675
O  0.2760  0.5815  0.3107
O  0.2760  0.9185  0.8107
O  0.2991  0.5262  0.0108
O  0.2991  0.9738  0.5108
O  0.4745  0.0133  0.3110
O  0.4745  0.4867  0.8110
O  0.4772  0.1766  0.5203
O  0.4772  0.3234  0.0203
O  0.4861  0.1316  0.9916
O  0.4861  0.3684  0.4916
O  0.4945  0.2171  0.2348
O  0.4945  0.2829  0.7348
O  0.5055  0.7171  0.2652
O  0.5055  0.7829  0.7652
O  0.5139  0.6316  0.5084
O  0.5139  0.8684  0.0084
O  0.5228  0.6766  0.9797
O  0.5228  0.8234  0.4797
O  0.5255  0.5133  0.1890
O  0.5255  0.9867  0.6890
O  0.7009  0.0262  0.4892
O  0.7009  0.4738  0.9892
O  0.7240  0.0815  0.1893
O  0.7240  0.4185  0.6893
O  0.7310  0.1069  0.7325
O  0.7310  0.3931  0.2325
O  0.7360  0.7214  0.4111
O  0.7360  0.7786  0.9111
O  0.7640  0.2214  0.4111
O  0.7640  0.2786  0.9111
O  0.7690  0.6069  0.7325
O  0.7690  0.8931  0.2325
O  0.7760  0.5815  0.1893
O  0.7760  0.9185  0.6893
O  0.7991  0.5262  0.4892
O  0.7991  0.9738  0.9892
O  0.9745  0.0133  0.1890
O  0.9745  0.4867  0.6890
O  0.9772  0.1766  0.9797
O  0.9772  0.3234  0.4797
O  0.9861  0.1316  0.5084
O  0.9861  0.3684  0.0084
O  0.9945  0.2171  0.2652
O  0.9945  0.2829  0.7652



No. 3
The following is a DFT calculation (meta-GGA r2SCAN) of an optimized crystal structure of Sr3Cr2O8.

Output
**Spin magnetization**: 0.15 μB per atom
**SG**: R-3m
**V**: 13.87 Å³ per atom
**Raw total energy**: -12.18 eV/atom
**Energy of formation**: -2.690 eV/atom

abc: 7.4655 7.4655 7.4655
angles: 43.71 43.71 43.71
Sites, in units of the cell vectors:
Sr  0.0000  0.0000  0.0000
Sr  0.2032  0.2032  0.2032
Sr  0.7968  0.7968  0.7968
Cr  0.4061  0.4061  0.4061
Cr  0.5939  0.5939  0.5939
O  0.2327  0.7309  0.7309
O  0.2691  0.2691  0.7673
O  0.2691  0.7673  0.2691
O  0.3228  0.3228  0.3228
O  0.6772  0.6772  0.6772
O  0.7309  0.2327  0.7309
O  0.7309  0.7309  0.2327
O  0.7673  0.2691  0.2691